! GGA+U Li9Mn2Co5O16, relaxed; values from VASP
&SYSTEM
  ibrav = 0, nat = 32, ntyp = 4
/
ATOMIC_SPECIES
Co 58.93 Co.upf
O 16.00 O.upf
Mn 54.94 Mn.upf
Li 6.94 Li.upf
ATOMIC_POSITIONS angstrom
Co -0.8640 -5.2392 -2.6969
Co -1.3605 -19.7633 -0.5713
Co -0.6821 -9.8623 -0.3014
Co -2.0420 -29.5949 -0.8793
Co -1.1777 -24.4146 1.8377
O -1.5547 -35.3276 3.4147
O -2.0074 -38.1210 2.0171
O -0.7214 -1.4931 -3.1714
O -1.1659 -4.2774 -4.5308
O -1.0261 -20.6165 1.3922
O -0.5634 -6.1880 -0.8739
O -1.3048 -28.0897 2.3682
O -1.3906 -11.3032 -3.4241
O -2.1662 -33.2169 -0.3511
O -1.2079 -16.0287 -0.9921
O -1.9206 -25.8793 -1.4513
O -1.7349 -30.4887 0.9590
O -1.6974 -18.8728 -2.5596
O -1.4810 -23.4540 -0.0027
O -1.0171 -9.0054 -2.2689
O -0.8352 -13.5980 0.1170
Mn -0.0032 -0.0329 -0.0056
Mn -1.5435 -15.0790 -2.9922
Li -0.4326 -2.7049 -1.3245
Li -1.4180 -31.6932 2.9461
Li -1.8584 -34.2647 1.5396
Li -1.6093 -27.0182 0.4866
Li -1.1112 -12.4065 -1.6591
Li -1.7940 -22.3771 -1.9291
Li -0.9311 -17.2158 0.7867
Li -1.2954 -7.8119 -4.0573
Li -2.2986 -36.7460 0.1060
CELL_PARAMETERS angstrom
-1.9267 -0.1850 -2.2781
0.8814 -0.3623 -2.8334
-1.6783 -38.9485 3.9456
! Crystal system   monoclinic
! Excess energy over the best structure of this formula in the dataset   0.137 eV/atom
! DFT formation energy   -1727 meV per atom
! Symmetry   Cm, No. 8


! GGA+U Li2MnVP3O12, relaxed; values from VASP
&SYSTEM
  ibrav = 0, nat = 38, ntyp = 5
/
ATOMIC_SPECIES
O 16.00 O.upf
P 30.97 P.upf
V 50.94 V.upf
Mn 54.94 Mn.upf
Li 6.94 Li.upf
ATOMIC_POSITIONS angstrom
O -3.7284 3.4350 9.5861
O -2.5631 1.9393 14.1830
O 0.9789 -0.3306 8.6236
O -0.3828 0.9576 4.1632
O -2.3660 3.7758 11.7468
O 1.3683 2.9776 9.4647
O -1.6808 3.5881 6.9876
O -1.2266 -0.5325 11.3753
O -0.5417 -0.6466 6.5790
O -1.3587 3.1263 3.2812
O -0.3662 -3.2054 8.7372
O -1.5223 0.1003 8.7309
O -3.6222 5.2356 7.1848
O -2.3913 6.0616 9.7199
O -4.0247 2.7601 6.6097
O 0.0070 1.6639 7.5355
O 1.0983 0.2781 11.7483
O -2.9676 1.4519 10.9097
O -0.2868 5.2283 8.6165
O -2.9729 4.3972 4.9682
O -4.1711 0.0386 8.8640
O 0.0563 -1.3907 13.3798
O -1.2455 2.8857 9.7094
O 0.7327 -2.1661 11.1469
P -2.2831 1.1321 15.4389
P -0.5637 1.8291 2.9466
P 0.1659 -0.9352 11.9272
P -0.2738 0.1654 7.8449
P -3.0485 3.9475 6.4611
P -2.5829 2.9152 10.4652
V -2.6664 -0.4039 10.1683
V -0.1338 3.4160 8.1891
Mn -3.0824 4.0330 13.5806
Mn 0.1786 -0.9721 4.8311
Li -3.8166 1.4292 12.7341
Li 1.4626 1.0642 9.9835
Li -4.4761 2.0091 8.5045
Li -1.8935 5.7143 11.5901
CELL_PARAMETERS angstrom
-4.4047 6.4740 4.2706
-1.1729 -5.3703 6.4868
2.7248 1.9194 7.6163
! Crystal system   triclinic
! Excess energy over the best structure of this formula in the dataset   0.005 eV/atom
! DFT formation energy   -2595 meV per atom
! Symmetry   P1, No. 1


Which of these has the lowest excess energy over the best structure of this formula in the dataset? Li2MnVP3O12


What is the DFT formation energy in the first record? -1727 meV per atom